Record 1
# Sn2Pd (PBE, optimized geometry)
# - energy of formation from the pure elements (eV per atom) = -0.389
# - final energy (eV per atom) = -4.788
# - mass density (g/cm3) = 8.450
data_Sn2Pd
_symmetry_space_group_name_H-M 'I 41/a c d'
_symmetry_Int_Tables_number 142
_cell_length_a 6.602
_cell_length_b 6.602
_cell_length_c 24.806
_cell_angle_alpha 90.00
_cell_angle_beta 90.00
_cell_angle_gamma 90.00
loop_
_symmetry_equiv_pos_as_xyz
'x,y,z'
'-x,-y,-z'
'-y+1/4,x+3/4,z+1/4'
'y+1/4,-x+3/4,-z+1/4'
'-x+1/2,-y,z+1/2'
'x+1/2,y,-z+1/2'
'y+1/4,-x+1/4,z+3/4'
'-y+1/4,x+1/4,-z+3/4'
'x,-y,-z+1/2'
'-x,y,z+1/2'
'-y+1/4,-x+1/4,-z+1/4'
'y+1/4,x+1/4,z+1/4'
'-x+1/2,y,-z'
'x+1/2,-y,z'
'y+1/4,x+3/4,-z+3/4'
'-y+1/4,-x+3/4,z+3/4'
'x+1/2,y+1/2,z+1/2'
'-x+1/2,-y+1/2,-z+1/2'
'-y+3/4,x+1/4,z+3/4'
'y+3/4,-x+1/4,-z+3/4'
'-x,-y+1/2,z'
'x,y+1/2,-z'
'y+3/4,-x+3/4,z+1/4'
'-y+3/4,x+3/4,-z+1/4'
'x+1/2,-y+1/2,-z'
'-x+1/2,y+1/2,z'
'-y+3/4,-x+3/4,-z+3/4'
'y+3/4,x+3/4,z+3/4'
'-x,y+1/2,-z+1/2'
'x,-y+1/2,z+1/2'
'y+3/4,x+1/4,-z+1/4'
'-y+3/4,-x+1/4,z+1/4'
loop_
_atom_site_label
_atom_site_fract_x
_atom_site_fract_y
_atom_site_fract_z
Sn1 0.159 0.091 0.125
Sn2 0.248 0.000 0.750
Pd1 0.000 0.250 0.317

Record 2
# Sn13Pd20 (PBE, optimized geometry)
# - energy of formation from the pure elements (eV per atom) = -0.533
# - final energy (eV per atom) = -5.251
# - M_tot (μB per atom) = 0.000
# - mass density (g/cm3) = 10.242
data_Sn13Pd20
_symmetry_space_group_name_H-M 'C 1 2 1'
_symmetry_Int_Tables_number 5
_cell_length_a 15.426
_cell_length_b 8.966
_cell_length_c 17.217
_cell_angle_alpha 90.00
_cell_angle_beta 90.07
_cell_angle_gamma 90.00
loop_
_symmetry_equiv_pos_as_xyz
'x,y,z'
'-x,y,-z'
'x+1/2,y+1/2,z'
'-x+1/2,y+1/2,-z'
loop_
_atom_site_label
_atom_site_fract_x
_atom_site_fract_y
_atom_site_fract_z
Sn1 0.055 0.002 0.082
Sn2 0.057 0.500 0.745
Sn3 0.084 0.002 0.748
Sn4 0.084 0.500 0.081
Sn5 0.094 0.531 0.419
Sn6 0.094 0.976 0.413
Sn7 0.152 0.292 0.255
Sn8 0.152 0.708 0.253
Sn9 0.154 0.209 0.922
Sn10 0.155 0.792 0.923
Sn11 0.168 0.752 0.584
Sn12 0.185 0.253 0.586
Sn13 0.249 0.999 0.167
Pd1 0.000 0.254 0.500
Pd2 0.000 0.259 0.000
Pd3 0.000 0.746 0.000
Pd4 0.000 0.751 0.168
Pd5 0.000 0.753 0.500
Pd6 0.001 0.250 0.832
Pd7 0.001 0.752 0.665
Pd8 0.002 0.246 0.665
Pd9 0.080 0.010 0.576
Pd10 0.080 0.494 0.583
Pd11 0.091 0.501 0.910
Pd12 0.092 0.998 0.249
Pd13 0.159 0.253 0.420
Pd14 0.169 0.239 0.087
Pd15 0.169 0.762 0.085
Pd16 0.170 0.740 0.757
Pd17 0.172 0.263 0.752
Pd18 0.246 0.500 0.997
Pd19 0.248 0.002 0.665
Pd20 0.248 0.506 0.667
Pd21 0.250 0.001 0.833
Pd22 0.250 0.002 0.500